Record 1
The following is a PBE calculation of AgSb3PbS6 after structural relaxation, from the Materials Project.

```
AgSb3PbS6
1.0
0.000 0.000 5.109
9.354 6.028 0.000
-10.146 7.022 0.000
S Sb Pb Ag
12 6 2 2
Direct
0.885 0.349 0.069
0.865 0.243 0.743
0.002 0.111 0.416
0.135 0.743 0.243
0.336 0.429 0.617
0.678 0.831 0.801
0.689 0.585 0.385
0.115 0.849 0.569
0.311 0.085 0.885
0.998 0.611 0.916
0.664 0.929 0.117
0.322 0.331 0.301
0.251 0.205 0.597
0.614 0.991 0.713
0.749 0.705 0.097
0.195 0.311 0.910
0.805 0.811 0.410
0.386 0.491 0.213
0.837 0.206 0.230
0.163 0.706 0.730
0.662 0.489 0.771
0.338 0.989 0.271
```

Output
Space-group type: Pc
Relative energy among the computed polymorphs (meV/atom): 137
ΔH_f (0 K) (eV/f.u.): -4.5

---

Record 2
The following is a PBE calculation of Zr2V3Ge4 after structural relaxation, from the Materials Project.

```
Zr2V3Ge4
1.0
-0.074 6.663 -0.294
-6.751 -0.100 -0.583
-1.112 0.552 12.793
Zr Ge V
8 16 12
Direct
0.489 0.673 0.093
0.011 0.173 0.593
0.989 0.827 0.407
0.489 0.673 0.407
0.989 0.827 0.093
0.011 0.173 0.907
0.511 0.327 0.593
0.511 0.327 0.907
0.177 0.546 0.957
0.466 0.372 0.250
0.966 0.128 0.250
0.034 0.872 0.750
0.677 0.954 0.543
0.823 0.454 0.043
0.534 0.628 0.750
0.177 0.546 0.543
0.191 0.642 0.250
0.309 0.142 0.750
0.691 0.858 0.250
0.677 0.954 0.957
0.823 0.454 0.457
0.323 0.046 0.457
0.323 0.046 0.043
0.809 0.358 0.750
0.337 0.010 0.250
0.161 0.338 0.374
0.661 0.162 0.126
0.839 0.662 0.626
0.663 0.990 0.750
0.339 0.838 0.626
0.661 0.162 0.374
0.339 0.838 0.874
0.161 0.338 0.126
0.839 0.662 0.874
0.163 0.510 0.750
0.837 0.490 0.250
```

Output
Space-group type: Pnma
ΔH_f (0 K) (eV/f.u.): -5.5

---

Q: Look up the ΔH_f (0 K) of the second one.
A: -5.5 eV/f.u.

---

Repeat the first record exactly.
The following is a PBE calculation of AgSb3PbS6 after structural relaxation, from the Materials Project.

```
AgSb3PbS6
1.0
0.000 0.000 5.109
9.354 6.028 0.000
-10.146 7.022 0.000
S Sb Pb Ag
12 6 2 2
Direct
0.885 0.349 0.069
0.865 0.243 0.743
0.002 0.111 0.416
0.135 0.743 0.243
0.336 0.429 0.617
0.678 0.831 0.801
0.689 0.585 0.385
0.115 0.849 0.569
0.311 0.085 0.885
0.998 0.611 0.916
0.664 0.929 0.117
0.322 0.331 0.301
0.251 0.205 0.597
0.614 0.991 0.713
0.749 0.705 0.097
0.195 0.311 0.910
0.805 0.811 0.410
0.386 0.491 0.213
0.837 0.206 0.230
0.163 0.706 0.730
0.662 0.489 0.771
0.338 0.989 0.271
```

Output
Space-group type: Pc
Relative energy among the computed polymorphs (meV/atom): 137
ΔH_f (0 K) (eV/f.u.): -4.5